# 1
{
  "formula": "Mn5SiC",
  "functional": "GGA-PBE",
  "state": "relaxed",
  "lattice": [[5.0413, -3.8985, 0.0000], [5.0413, 3.8985, 0.0000], [0.0000, 0.0000, 7.5048]],
  "species": ["Mn", "Mn", "Mn", "Mn", "Mn", "Mn", "Mn", "Mn", "Mn", "Mn", "Mn", "Mn", "Mn", "Mn", "Mn", "Mn", "Mn", "Mn", "Mn", "Mn", "Si", "Si", "Si", "Si", "C", "C", "C", "C"],
  "frac_coords": [[0.0110, 0.6869, 0.1976], [0.0156, 0.6833, 0.8252], [0.0404, 0.9596, 0.5000], [0.2052, 0.5604, 0.5140], [0.3131, 0.9890, 0.1976], [0.3167, 0.9844, 0.8252], [0.3609, 0.6391, 0.0134], [0.3719, 0.3782, 0.2628], [0.3782, 0.3719, 0.7628], [0.4396, 0.7948, 0.5140], [0.5604, 0.2052, 0.0140], [0.6218, 0.6281, 0.2628], [0.6281, 0.6218, 0.7628], [0.6391, 0.3609, 0.5134], [0.6833, 0.0156, 0.3252], [0.6869, 0.0110, 0.6976], [0.7948, 0.4396, 0.0140], [0.9596, 0.0404, 0.0000], [0.9844, 0.3167, 0.3252], [0.9890, 0.3131, 0.6976], [0.1642, 0.3265, 0.0116], [0.3265, 0.1642, 0.5116], [0.6735, 0.8358, 0.0116], [0.8358, 0.6735, 0.5116], [0.2982, 0.7018, 0.2977], [0.3072, 0.6928, 0.7309], [0.6928, 0.3072, 0.2309], [0.7018, 0.2982, 0.7977]],
  "final_energy_ev_per_atom": -8.82,
  "total_magnetization_mub_per_atom": 0.7960
}

=====

# 2
{
  "formula": "Mn5SiC",
  "functional": "GGA-PBE",
  "state": "relaxed",
  "lattice": [[5.0075, -3.9218, 0.0000], [5.0075, 3.9218, 0.0000], [0.0000, 0.0000, 7.4974]],
  "species": ["Mn", "Mn", "Mn", "Mn", "Mn", "Mn", "Mn", "Mn", "Mn", "Mn", "Mn", "Mn", "Mn", "Mn", "Mn", "Mn", "Mn", "Mn", "Mn", "Mn", "Si", "Si", "Si", "Si", "C", "C", "C", "C"],
  "frac_coords": [[0.0160, 0.6927, 0.0648], [0.0160, 0.6927, 0.4352], [0.0329, 0.9671, 0.7500], [0.2006, 0.5641, 0.7500], [0.3073, 0.9840, 0.0648], [0.3073, 0.9840, 0.4352], [0.3658, 0.6342, 0.2500], [0.3741, 0.3741, 0.0000], [0.3741, 0.3741, 0.5000], [0.4359, 0.7994, 0.7500], [0.5641, 0.2006, 0.2500], [0.6259, 0.6259, 0.0000], [0.6259, 0.6259, 0.5000], [0.6342, 0.3658, 0.7500], [0.6927, 0.0160, 0.5648], [0.6927, 0.0160, 0.9352], [0.7994, 0.4359, 0.2500], [0.9671, 0.0329, 0.2500], [0.9840, 0.3073, 0.5648], [0.9840, 0.3073, 0.9352], [0.1656, 0.3240, 0.2500], [0.3240, 0.1656, 0.7500], [0.6760, 0.8344, 0.2500], [0.8344, 0.6760, 0.7500], [0.3070, 0.6930, 0.5347], [0.3070, 0.6930, 0.9653], [0.6930, 0.3070, 0.0347], [0.6930, 0.3070, 0.4653]],
  "final_energy_ev_per_atom": -8.82,
  "total_magnetization_mub_per_atom": 0.6937
}

=====

# 3
{
  "formula": "Mn20Si12C",
  "functional": "GGA-PBE",
  "state": "relaxed",
  "lattice": [[4.8019, 0.0000, 0.0000], [0.0000, 11.9160, 0.0000], [-0.0071, 0.0000, 6.8668]],
  "species": ["Mn", "Mn", "Mn", "Mn", "Mn", "Mn", "Mn", "Mn", "Mn", "Mn", "Mn", "Mn", "Mn", "Mn", "Mn", "Mn", "Mn", "Mn", "Mn", "Mn", "Si", "Si", "Si", "Si", "Si", "Si", "Si", "Si", "Si", "Si", "Si", "Si", "C"],
  "frac_coords": [[0.0000, 0.1649, 0.0000], [0.0000, 0.3316, 0.5000], [0.0000, 0.6684, 0.5000], [0.0000, 0.8351, 0.0000], [0.2405, 0.1186, 0.3807], [0.2405, 0.8814, 0.3807], [0.2418, 0.0000, 0.7381], [0.2480, 0.5000, 0.2444], [0.2485, 0.3766, 0.8775], [0.2485, 0.6234, 0.8775], [0.5000, 0.1674, 0.0000], [0.5000, 0.3345, 0.5000], [0.5000, 0.6655, 0.5000], [0.5000, 0.8326, 0.0000], [0.7515, 0.3766, 0.1225], [0.7515, 0.6234, 0.1225], [0.7520, 0.5000, 0.7556], [0.7582, 0.0000, 0.2619], [0.7595, 0.1186, 0.6193], [0.7595, 0.8814, 0.6193], [0.2500, 0.5000, 0.6034], [0.2510, 0.3001, 0.1999], [0.2510, 0.6999, 0.1999], [0.2613, 0.0000, 0.0969], [0.2619, 0.2002, 0.7000], [0.2619, 0.7998, 0.7000], [0.7381, 0.2002, 0.3000], [0.7381, 0.7998, 0.3000], [0.7387, 0.0000, 0.9031], [0.7490, 0.3001, 0.8001], [0.7490, 0.6999, 0.8001], [0.7500, 0.5000, 0.3966], [0.0000, 0.0000, 0.5000]],
  "final_energy_ev_per_atom": -8.16,
  "total_magnetization_mub_per_atom": 1.3250
}

=====

# 4
{
  "formula": "UMn2SiC",
  "functional": "GGA-PBE",
  "state": "relaxed",
  "lattice": [[1.8650, -5.3125, 0.0000], [1.8650, 5.3125, 0.0000], [0.0000, 0.0000, 6.6636]],
  "species": ["U", "U", "Mn", "Mn", "Mn", "Mn", "Si", "Si", "C", "C"],
  "frac_coords": [[0.0546, 0.9454, 0.7500], [0.9454, 0.0546, 0.2500], [0.3328, 0.6672, 0.5614], [0.3328, 0.6672, 0.9386], [0.6672, 0.3328, 0.0614], [0.6672, 0.3328, 0.4386], [0.2265, 0.7735, 0.2500], [0.7735, 0.2265, 0.7500], [0.5000, 0.5000, 0.0000], [0.5000, 0.5000, 0.5000]],
  "final_energy_ev_per_atom": -9.18
}